[1]
First-principles (PBE-GGA) data for a geometry-optimized CsC10 structure, as listed in Materials Project.

Cell: 10.4076 10.4076 10.4076 Å, 109.47 109.47 109.47°
With the nearest neighbours (Å) after each atom.
Atoms (fractional coordinates):
1 Cs 0.2227 0.7227 0.5000  22 C 3.50-3.83
2 Cs 0.2773 0.5000 0.7773  22 C 3.50-3.83
3 Cs 0.5000 0.2227 0.7227  22 C 3.50-3.83
4 Cs 0.5000 0.7773 0.2773  22 C 3.50-3.83
5 Cs 0.7227 0.5000 0.2227  22 C 3.50-3.83
6 Cs 0.7773 0.2773 0.5000  22 C 3.50-3.83
7 C 0.0221 0.1562 0.3735  3 C 1.43-1.45
8 C 0.0221 0.6486 0.8659  3 C 1.43-1.45
9 C 0.0234 0.1565 0.7464  3 C 1.43-1.45
10 C 0.0234 0.2770 0.8668  3 C 1.43-1.45
11 C 0.0595 0.2913 0.3509  3 C 1.43-1.45
12 C 0.0595 0.7087 0.7682  3 C 1.43-1.45
13 C 0.1332 0.4101 0.1565  3 C 1.43-1.45
14 C 0.1332 0.9766 0.7230  3 C 1.43-1.45
15 C 0.1341 0.7827 0.1562  3 C 1.43-1.45
16 C 0.1341 0.9779 0.3514  3 C 1.43-1.45
17 C 0.1562 0.1341 0.7827  3 C 1.43-1.45
18 C 0.1562 0.3735 0.0221  3 C 1.43-1.45
19 C 0.1565 0.1332 0.4101  3 C 1.43-1.45
20 C 0.1565 0.7464 0.0234  3 C 1.43-1.45
21 C 0.2173 0.3514 0.3735  3 C 1.43-1.45
22 C 0.2173 0.8438 0.8659  3 C 1.43-1.45
23 C 0.2318 0.9405 0.2913  3 C 1.43-1.45
24 C 0.2536 0.4101 0.2770  3 C 1.43-1.45
25 C 0.2536 0.9766 0.8435  3 C 1.43-1.45
26 C 0.2770 0.2536 0.4101  3 C 1.43-1.45
27 C 0.2770 0.8669 0.0234  3 C 1.43-1.45
28 C 0.2913 0.2318 0.9405  3 C 1.43-1.45
29 C 0.2913 0.3509 0.0595  3 C 1.43-1.45
30 C 0.3509 0.0595 0.2913  3 C 1.43-1.45
31 C 0.3514 0.1341 0.9779  3 C 1.43-1.45
32 C 0.3514 0.3735 0.2173  3 C 1.43-1.45
33 C 0.3735 0.0221 0.1562  3 C 1.43-1.45
34 C 0.3735 0.2173 0.3514  3 C 1.43-1.45
35 C 0.4101 0.1565 0.1332  3 C 1.43-1.45
36 C 0.4101 0.2770 0.2536  3 C 1.43-1.45
37 C 0.5899 0.7230 0.7464  3 C 1.43-1.45
38 C 0.5899 0.8435 0.8668  3 C 1.43-1.45
39 C 0.6265 0.7827 0.6486  3 C 1.43-1.45
40 C 0.6265 0.9779 0.8438  3 C 1.43-1.45
41 C 0.6486 0.6265 0.7827  3 C 1.43-1.45
42 C 0.6486 0.8659 0.0221  3 C 1.43-1.45
43 C 0.6491 0.9405 0.7087  3 C 1.43-1.45
44 C 0.7087 0.6491 0.9405  3 C 1.43-1.45
45 C 0.7087 0.7682 0.0595  3 C 1.43-1.45
46 C 0.7230 0.1332 0.9766  3 C 1.43-1.45
47 C 0.7230 0.7464 0.5899  3 C 1.43-1.45
48 C 0.7464 0.0234 0.1565  3 C 1.43-1.45
49 C 0.7464 0.5899 0.7230  3 C 1.43-1.45
50 C 0.7682 0.0595 0.7087  3 C 1.43-1.45
51 C 0.7827 0.1562 0.1341  3 C 1.43-1.45
52 C 0.7827 0.6486 0.6265  3 C 1.43-1.45
53 C 0.8435 0.2536 0.9766  3 C 1.43-1.45
54 C 0.8435 0.8669 0.5899  3 C 1.43-1.45
55 C 0.8438 0.6265 0.9779  3 C 1.43-1.45
56 C 0.8438 0.8659 0.2173  3 C 1.43-1.45
57 C 0.8659 0.0221 0.6486  3 C 1.43-1.45
58 C 0.8659 0.2173 0.8438  3 C 1.43-1.45
59 C 0.8668 0.0234 0.2770  3 C 1.43-1.45
60 C 0.8669 0.5899 0.8435  3 C 1.43-1.45
61 C 0.9405 0.2913 0.2318  3 C 1.43-1.45
62 C 0.9405 0.7087 0.6491  3 C 1.43-1.45
63 C 0.9766 0.7230 0.1332  3 C 1.43-1.45
64 C 0.9766 0.8435 0.2536  3 C 1.43-1.45
65 C 0.9779 0.3514 0.1341  3 C 1.43-1.45
66 C 0.9779 0.8438 0.6265  3 C 1.43-1.45

Summary:
E_tot, eV per atom: -8.267
E_form, eV/atom: 0.205
Calculated density, g/cm³: 2.90
Space group: No. 204

=====

[2]
First-principles (PBE-GGA) data for a geometry-optimized CsCuC2 structure, as listed in Materials Project.

Cell: 4.9367 4.9367 9.2253 Å, 90.00 90.00 90.00°
With the nearest neighbours (Å) after each atom.
Atoms (fractional coordinates):
1 Cs 0.0000 0.0000 0.2500  8 C 3.44
2 Cs 0.0000 0.0000 0.7500  8 C 3.44
3 Cu 0.5000 0.5000 0.0000  2 C 1.84
4 Cu 0.5000 0.5000 0.5000  2 C 1.84
5 C 0.1271 0.5000 0.0000  1 C 1.26
6 C 0.5000 0.1271 0.5000  1 C 1.26
7 C 0.5000 0.8729 0.5000  1 C 1.26
8 C 0.8729 0.5000 0.0000  1 C 1.26

Summary:
E_tot, eV per atom: -5.589
E_form, eV/atom: 0.274
Calculated density, g/cm³: 3.26
Space group: No. 131

=====

[3]
First-principles (PBE-GGA) data for a geometry-optimized Cs2Cu3C3N7 structure, as listed in Materials Project.

Cell: 9.8490 9.8490 8.7141 Å, 97.32 97.32 48.14°
With the nearest neighbours (Å) after each atom.
Atoms (fractional coordinates):
1 Cs 0.0703 0.7019 0.9166  7 N 3.25-3.52, 3 C 3.31-3.43
2 Cs 0.2981 0.9297 0.5834  7 N 3.25-3.52, 3 C 3.31-3.43
3 Cs 0.7019 0.0703 0.4166  7 N 3.25-3.52, 3 C 3.31-3.43
4 Cs 0.9297 0.2981 0.0834  7 N 3.25-3.52, 3 C 3.31-3.43
5 Cu 0.1382 0.4702 0.3840  2 N 1.83-1.94, 1 C 1.86
6 Cu 0.4273 0.5727 0.2500  2 N 1.85, 1 C 1.87
7 Cu 0.4702 0.1382 0.8840  2 N 1.83-1.94, 1 C 1.86
8 Cu 0.5298 0.8618 0.1160  2 N 1.83-1.94, 1 C 1.86
9 Cu 0.5727 0.4273 0.7500  2 N 1.85, 1 C 1.87
10 Cu 0.8618 0.5298 0.6160  2 N 1.83-1.94, 1 C 1.86
11 C 0.0785 0.3673 0.7327  1 N 1.19
12 C 0.1940 0.8060 0.2500  1 N 1.18
13 C 0.3673 0.0785 0.2327  1 N 1.19
14 C 0.6327 0.9215 0.7673  1 N 1.19
15 C 0.8060 0.1940 0.7500  1 N 1.18
16 C 0.9215 0.6327 0.2673  1 N 1.19
17 N 0.0469 0.9531 0.2500  1 C 1.18
18 N 0.2172 0.2760 0.8098  1 C 1.19
19 N 0.2760 0.2172 0.3098  1 C 1.19
20 N 0.2789 0.4878 0.5290  1 N 1.17
21 N 0.3792 0.4786 0.6239  1 N 1.17
22 N 0.4786 0.3792 0.1239  1 N 1.17
23 N 0.4878 0.2789 0.0290  1 N 1.17
24 N 0.5122 0.7211 0.9710  1 N 1.17
25 N 0.5214 0.6208 0.8761  1 N 1.17
26 N 0.6208 0.5214 0.3761  1 N 1.17
27 N 0.7211 0.5122 0.4710  1 N 1.17
28 N 0.7240 0.7828 0.6902  1 C 1.19
29 N 0.7828 0.7240 0.1902  1 C 1.19
30 N 0.9531 0.0469 0.7500  1 C 1.18

Summary:
E_tot, eV per atom: -6.599
E_form, eV/atom: -0.092
Calculated density, g/cm³: 3.15
Space group: No. 15

=====

[4]
First-principles (PBE-GGA) data for a geometry-optimized Cs3SrCu2C7S7N7 structure, as listed in Materials Project.

Cell: 12.7659 12.7659 12.7659 Å, 128.99 128.99 75.02°
With the nearest neighbours (Å) after each atom.
Atoms (fractional coordinates):
1 Cs 0.0000 0.5000 0.5000  8 C 3.68-3.94, 8 S 3.75-4.03, 4 N 4.06
2 Cs 0.0628 0.0628 0.5245  2 N 3.17
3 Cs 0.4617 0.9372 0.0000  2 N 3.17
4 Cs 0.5000 0.0000 0.5000  8 C 3.68-3.94, 8 S 3.75-4.03, 4 N 4.06
5 Cs 0.5383 0.5383 0.4755  2 N 3.17
6 Cs 0.9372 0.4617 0.0000  2 N 3.17
7 Sr 0.0960 0.0960 0.0000  9 N 2.74-2.86
8 Sr 0.9040 0.9040 0.0000  9 N 2.74-2.86
9 Cu 0.2533 0.5485 0.0000  4 S 2.32-2.37
10 Cu 0.4515 0.4515 0.7048  4 S 2.32-2.37
11 Cu 0.5485 0.2533 0.0000  4 S 2.32-2.37
12 Cu 0.7467 0.7467 0.2952  4 S 2.32-2.37
13 C 0.0701 0.8308 0.6092  1 N 1.19
14 C 0.1692 0.7785 0.2394  1 N 1.19
15 C 0.2060 0.2060 0.4201  1 N 1.18
16 C 0.2141 0.7940 0.0000  1 N 1.18
17 C 0.2215 0.4609 0.3908  1 N 1.19
18 C 0.2934 0.2934 0.0000  1 N 1.18
19 C 0.4609 0.2215 0.3908  1 N 1.19
20 C 0.5391 0.9299 0.7606  1 N 1.19
21 C 0.7066 0.7066 0.0000  1 N 1.18
22 C 0.7785 0.1692 0.2394  1 N 1.19
23 C 0.7859 0.7859 0.5799  1 N 1.18
24 C 0.7940 0.2141 0.0000  1 N 1.18
25 C 0.8308 0.0701 0.6092  1 N 1.19
26 C 0.9299 0.5391 0.7606  1 N 1.19
27 S 0.0228 0.4221 0.7512  1 C 1.64
28 S 0.2716 0.6709 0.2488  1 C 1.64
29 S 0.3035 0.3035 0.6310  1 C 1.65
30 S 0.3276 0.6965 0.0000  1 C 1.65
31 S 0.3291 0.5779 0.6007  1 C 1.64
32 S 0.3754 0.3754 0.0000  1 C 1.66
33 S 0.4221 0.0228 0.7512  1 C 1.64
34 S 0.5779 0.3291 0.6007  1 C 1.64
35 S 0.6246 0.6246 0.0000  1 C 1.66
36 S 0.6709 0.2716 0.2488  1 C 1.64
37 S 0.6724 0.6724 0.3690  1 C 1.65
38 S 0.6965 0.3276 0.0000  1 C 1.65
39 S 0.7284 0.9772 0.3993  1 C 1.64
40 S 0.9772 0.7284 0.3993  1 C 1.64
41 N 0.0956 0.8567 0.2326  1 C 1.19
42 N 0.1333 0.1333 0.2680  1 C 1.18
43 N 0.1347 0.8667 0.0000  1 C 1.18
44 N 0.1370 0.9044 0.7611  1 C 1.19
45 N 0.1433 0.3759 0.2389  1 C 1.19
46 N 0.2350 0.2350 0.0000  1 C 1.18
47 N 0.3759 0.1433 0.2389  1 C 1.19
48 N 0.6241 0.8630 0.7674  1 C 1.19
49 N 0.7650 0.7650 0.0000  1 C 1.18
50 N 0.8567 0.0956 0.2326  1 C 1.19
51 N 0.8630 0.6241 0.7674  1 C 1.19
52 N 0.8653 0.8653 0.7320  1 C 1.18
53 N 0.8667 0.1347 0.0000  1 C 1.18
54 N 0.9044 0.1370 0.7611  1 C 1.19

Summary:
E_tot, eV per atom: -6.371
E_form, eV/atom: -0.503
Calculated density, g/cm³: 2.77
Space group: No. 121

=====

[5]
First-principles (PBE-GGA) data for a geometry-optimized CsC2S2NO4F6 structure, as listed in Materials Project.

Cell: 12.0507 12.0507 13.8001 Å, 92.29 92.29 34.47°
With the nearest neighbours (Å) after each atom.
Atoms (fractional coordinates):
1 Cs 0.1114 0.3549 0.3497  7 O 3.13-3.36, 1 N 3.38
2 Cs 0.3549 0.1114 0.8497  7 O 3.13-3.36, 1 N 3.38
3 Cs 0.6451 0.8886 0.1503  7 O 3.13-3.36, 1 N 3.38
4 Cs 0.8886 0.6451 0.6503  7 O 3.13-3.36, 1 N 3.38
5 C 0.0008 0.8473 0.8802  3 F 1.35-1.36
6 C 0.1527 0.9992 0.6198  3 F 1.35-1.36
7 C 0.3727 0.4632 0.1119  3 F 1.35-1.36
8 C 0.4632 0.3727 0.6119  3 F 1.35-1.36
9 C 0.5368 0.6273 0.3881  3 F 1.35-1.36
10 C 0.6273 0.5368 0.8881  3 F 1.35-1.36
11 C 0.8473 0.0008 0.3802  3 F 1.35-1.36
12 C 0.9992 0.1527 0.1198  3 F 1.35-1.36
13 S 0.0188 0.2867 0.0880  2 O 1.45, 1 N 1.59
14 S 0.2046 0.4810 0.0828  2 O 1.45, 1 N 1.59
15 S 0.2867 0.0188 0.5880  2 O 1.45, 1 N 1.59
16 S 0.4810 0.2046 0.5828  2 O 1.45, 1 N 1.59
17 S 0.5190 0.7954 0.4172  2 O 1.45, 1 N 1.59
18 S 0.7133 0.9812 0.4120  2 O 1.45, 1 N 1.59
19 S 0.7954 0.5190 0.9172  2 O 1.45, 1 N 1.59
20 S 0.9812 0.7133 0.9120  2 O 1.45, 1 N 1.59
21 N 0.0232 0.6807 0.0258  2 S 1.59
22 N 0.3193 0.9768 0.4742  2 S 1.59
23 N 0.6807 0.0232 0.5258  2 S 1.59
24 N 0.9768 0.3193 0.9742  2 S 1.59
25 O 0.1220 0.5385 0.8508  1 S 1.45
26 O 0.1342 0.5068 0.1763  1 S 1.45
27 O 0.1412 0.2248 0.6048  1 S 1.45
28 O 0.2248 0.1412 0.1048  1 S 1.45
29 O 0.3018 0.3272 0.5285  1 S 1.45
30 O 0.3272 0.3018 0.0285  1 S 1.45
31 O 0.4615 0.8780 0.6492  1 S 1.45
32 O 0.4932 0.8658 0.3237  1 S 1.45
33 O 0.5068 0.1342 0.6763  1 S 1.45
34 O 0.5385 0.1220 0.3508  1 S 1.45
35 O 0.6728 0.6982 0.9715  1 S 1.45
36 O 0.6982 0.6728 0.4715  1 S 1.45
37 O 0.7752 0.8588 0.8952  1 S 1.45
38 O 0.8588 0.7752 0.3952  1 S 1.45
39 O 0.8658 0.4932 0.8237  1 S 1.45
40 O 0.8780 0.4615 0.1492  1 S 1.45
41 F 0.0143 0.8745 0.4329  1 C 1.35
42 F 0.0456 0.1076 0.2152  1 C 1.36
43 F 0.1076 0.0456 0.7152  1 C 1.36
44 F 0.1255 0.9857 0.0671  1 C 1.35
45 F 0.1844 0.7350 0.8954  1 C 1.35
46 F 0.2650 0.8156 0.6046  1 C 1.35
47 F 0.2768 0.6267 0.1573  1 C 1.35
48 F 0.3077 0.5188 0.6708  1 C 1.36
49 F 0.3733 0.7232 0.3427  1 C 1.35
50 F 0.4331 0.4523 0.5298  1 C 1.35
51 F 0.4523 0.4331 0.0298  1 C 1.35
52 F 0.4812 0.6923 0.8292  1 C 1.36
53 F 0.5188 0.3077 0.1708  1 C 1.36
54 F 0.5477 0.5669 0.9702  1 C 1.35
55 F 0.5669 0.5477 0.4702  1 C 1.35
56 F 0.6267 0.2768 0.6573  1 C 1.35
57 F 0.6923 0.4812 0.3292  1 C 1.36
58 F 0.7232 0.3733 0.8427  1 C 1.35
59 F 0.7350 0.1844 0.3954  1 C 1.35
60 F 0.8156 0.2650 0.1046  1 C 1.35
61 F 0.8745 0.0143 0.9329  1 C 1.35
62 F 0.8924 0.9544 0.2848  1 C 1.36
63 F 0.9544 0.8924 0.7848  1 C 1.36
64 F 0.9857 0.1255 0.5671  1 C 1.35

Summary:
E_tot, eV per atom: -5.517
E_form, eV/atom: -1.660
Calculated density, g/cm³: 2.42
Space group: No. 15